DFT (r²SCAN) results for a geometry-optimized Na3RuO4 structure.

The volume is 371 Å³ per cell. The mass density comes out at 4.2 g/cm3. Its crystal system is monoclinic. As for the calculated total energy: -9.13 eV per atom.

```
Na3RuO4
1.0
6.3659 5.4726 -0.0059
-6.3659 5.4726 -0.0059
0.0000 1.9131 5.3162
O Na Ru
16 12 4
Direct
0.8878 0.8878 0.2051
0.3464 0.3464 0.2014
0.5376 0.7536 0.2324
0.3305 0.8756 0.7770
0.1244 0.6695 0.2230
0.0096 0.2342 0.1912
0.8756 0.3305 0.7770
0.6536 0.6536 0.7986
0.1122 0.1122 0.7949
0.7658 0.9904 0.8088
0.9904 0.7658 0.8088
0.4624 0.2464 0.7676
0.2464 0.4624 0.7676
0.7536 0.5376 0.2324
0.6695 0.1244 0.2230
0.2342 0.0096 0.1912
0.8800 0.6294 0.5189
0.7419 0.2581 0.5000
0.3706 0.1200 0.4811
0.3757 0.6243 0.0000
0.5000 0.5000 0.5000
0.6294 0.8800 0.5189
0.5000 0.0000 0.0000
0.2581 0.7419 0.5000
0.1200 0.3706 0.4811
0.6243 0.3757 0.0000
0.0000 0.0000 0.5000
0.0000 0.5000 0.0000
0.1275 0.8725 0.0000
0.8725 0.1275 0.0000
0.7453 0.7453 0.0250
0.2547 0.2547 0.9750
```


DFT (r²SCAN) results for a geometry-optimized TiSi2 structure.

The volume is 85 Å³ per cell. The mass density comes out at 4.1 g/cm3. Its crystal system is orthorhombic. As for the calculated total energy: -10.70 eV per atom.

```
TiSi2
1.0
1.1806 -1.9701 2.6809
3.1712 -0.2828 -1.6043
1.5143 6.5682 1.8355
Ti Si
2 4
Direct
0.8969 0.7500 0.7938
0.1031 0.2500 0.2062
0.2497 0.7500 0.4994
0.4417 0.2500 0.8835
0.5583 0.7500 0.1165
0.7503 0.2500 0.5006
```


DFT (r²SCAN) results for a geometry-optimized TbNi structure.

The volume is 79 Å³ per cell. The mass density comes out at 9.1 g/cm3. Its crystal system is orthorhombic. As for the calculated total energy: -22.01 eV per atom.

```
TbNi
1.0
-3.7226 0.0000 0.0000
0.0000 0.0000 -4.2033
-1.8613 -5.0634 0.0000
Ni Tb
2 2
Direct
0.5707 0.2500 0.8586
0.4293 0.7500 0.1414
0.8611 0.2500 0.2779
0.1389 0.7500 0.7221
```


DFT (r²SCAN) results for a geometry-optimized Dy3Tm structure.

The volume is 125 Å³ per cell. The mass density comes out at 8.7 g/cm3. Its crystal system is cubic. As for the calculated total energy: -32.72 eV per atom.

```
Dy3Tm
1.0
4.9970 0.0000 0.0000
0.0000 4.9970 0.0000
0.0000 0.0000 4.9970
Tm Dy
1 3
Direct
0.0000 0.0000 0.0000
0.5000 0.5000 0.0000
0.0000 0.5000 0.5000
0.5000 0.0000 0.5000
```


DFT (r²SCAN) results for a geometry-optimized UAsSe structure.

The volume is 139 Å³ per cell. The mass density comes out at 9.4 g/cm3. Its crystal system is tetragonal. As for the calculated total energy: -37.67 eV per atom.

```
UAsSe
1.0
3.9988 0.0000 0.0000
0.0000 3.9988 0.0000
0.0000 0.0000 8.6635
U Se As
2 2 2
Direct
0.0000 0.5000 0.7319
0.5000 0.0000 0.2681
0.5000 0.0000 0.6292
0.0000 0.5000 0.3708
0.0000 0.0000 0.0000
0.5000 0.5000 0.0000
```


DFT (r²SCAN) results for a geometry-optimized LaSi2Rh3 structure.

The volume is 197 Å³ per cell. The mass density comes out at 8.5 g/cm3. Its crystal system is orthorhombic. As for the calculated total energy: -21.07 eV per atom.

```
LaSi2Rh3
1.0
0.0000 0.0011 5.6294
3.5730 4.9030 2.8157
-3.5730 4.9030 2.8157
Rh Si La
6 4 2
Direct
0.0000 0.7162 0.2838
0.0000 0.5000 0.0000
0.0000 0.2838 0.7162
0.5000 0.2161 0.7839
0.5000 0.7839 0.2161
0.0000 0.0000 0.5000
0.1190 0.0778 0.0778
0.2250 0.5777 0.5777
0.7750 0.4223 0.4223
0.8810 0.9222 0.9222
0.4593 0.2500 0.2500
0.5407 0.7500 0.7500
```


> The highest mass density belongs to which entry?

UAsSe


> Which of these has the highest mass density?

UAsSe